V4CoH12C2N6O20: optimized geometry, PBE with a Hubbard U.

For the formation energy, the calculation gives -0.685 eV/atom.

Geometry as POSCAR:
```
V4CoH12C2N6O20
1.0
-1.000 3.231 1.664
6.770 4.983 -1.712
-8.653 7.691 -14.468
H C O V N Co
12 2 20 4 6 1
Cartesian
-3.255 7.387 -9.551
0.721 5.831 -2.671
2.746 8.816 -4.601
-6.505 8.386 -10.760
0.371 8.518 -4.965
-5.315 9.886 -12.146
-5.630 7.089 -9.915
3.621 7.519 -3.756
-0.428 7.322 -3.978
2.431 6.019 -2.370
-2.456 8.584 -10.538
-3.605 10.074 -11.845
-4.469 8.533 -10.819
1.585 7.372 -3.697
3.835 5.046 -1.343
2.643 10.339 -5.423
-5.649 13.230 -13.359
-1.070 4.974 -3.317
5.300 7.261 -0.610
2.072 9.264 -7.891
-6.718 10.860 -13.173
-8.041 9.502 -11.246
-1.345 4.740 -4.570
5.158 6.404 -3.270
-1.814 10.932 -11.199
-2.967 6.035 -8.396
-4.955 6.641 -6.625
-1.699 5.740 -5.286
-5.527 5.566 -9.093
-1.185 10.166 -9.230
2.766 2.676 -1.157
-1.539 11.165 -9.946
-8.183 8.645 -13.906
0.084 9.871 -6.120
-4.365 5.277 -7.909
5.395 5.705 -1.818
-8.278 10.200 -12.698
1.481 10.628 -6.607
-3.309 8.089 -10.311
1.573 6.365 -2.804
-4.456 9.540 -11.712
2.736 7.944 -4.040
0.426 7.817 -4.205
-5.620 7.962 -10.476
2.885 4.107 -0.024
```

Fe10OF19: optimized geometry, PBE with a Hubbard U.

The polymorph energy (0 for the lowest one) comes out at 0 meV/atom. For the formation energy, the calculation gives -2.523 eV/atom.

Geometry as POSCAR:
```
Fe10OF19
1.0
3.412 -16.981 0.000
3.412 16.981 0.000
0.000 0.000 3.287
F Fe O
19 10 1
Cartesian
4.775 6.785 0.000
5.422 3.458 0.000
3.412 8.815 1.644
3.412 -4.748 1.644
3.412 -2.002 1.644
1.364 -3.406 0.000
2.040 -0.008 0.000
3.412 4.694 1.644
3.412 11.537 1.644
2.048 6.785 0.000
3.412 -15.600 1.644
5.460 -3.406 0.000
1.401 3.458 0.000
2.047 -6.803 0.000
3.412 -11.545 1.644
4.776 -6.803 0.000
3.412 15.622 1.644
4.783 -0.008 0.000
3.412 -8.824 1.644
3.412 -3.357 0.000
3.412 13.582 1.644
3.412 -13.578 1.644
3.412 -10.174 0.000
3.412 16.969 0.000
3.412 10.184 0.000
3.412 -6.777 1.644
3.412 0.067 1.644
3.412 3.165 0.000
3.412 6.770 1.644
3.412 2.128 1.644
```

Li4Co3Ni3O12: optimized geometry, PBE with a Hubbard U.

For the formation energy, the calculation gives -1.438 eV/atom.

Geometry as POSCAR:
```
Li4Co3Ni3O12
1.0
5.668 0.000 0.000
-0.156 5.851 0.000
-1.445 -1.582 6.198
Ni O Li Co
3 12 4 3
Cartesian
2.034 2.135 3.099
3.391 3.545 5.171
0.676 0.724 1.027
3.418 3.417 3.109
0.553 3.509 3.286
4.758 5.314 1.001
2.034 5.258 0.916
2.127 1.977 1.062
3.514 0.760 2.912
4.852 2.014 1.212
-0.691 -1.045 5.197
2.033 -0.989 5.282
-0.785 2.255 4.985
0.649 0.852 3.089
1.940 2.292 5.136
-0.723 -0.791 3.099
2.111 -0.791 3.099
0.516 0.683 5.219
3.551 3.586 0.979
3.519 0.722 1.023
0.548 3.547 5.175
-0.801 2.135 3.099
```

VH12C2S2O12F6: optimized geometry, PBE with a Hubbard U.

For the formation energy, the calculation gives -1.577 eV/atom.

Geometry as POSCAR:
```
VH12C2S2O12F6
1.0
3.547 9.438 0.000
-3.547 9.438 0.000
0.000 1.573 6.459
O H F S C V
12 12 6 2 2 1
Cartesian
-1.234 8.476 3.717
-2.024 12.120 5.464
0.000 11.803 0.620
2.024 12.120 5.464
-1.234 11.973 2.742
0.000 1.365 1.640
2.024 8.329 0.995
0.000 8.645 5.839
0.000 19.083 4.819
1.234 8.476 3.717
1.234 11.973 2.742
-2.024 8.329 0.995
-1.336 12.580 5.989
-1.742 8.376 1.932
-1.742 12.072 4.527
1.742 12.072 4.527
-2.744 11.239 2.002
1.336 7.869 0.471
-2.744 9.209 4.457
2.744 9.209 4.457
1.336 12.580 5.989
1.742 8.376 1.932
-1.336 7.869 0.471
2.744 11.239 2.002
0.000 14.709 3.099
0.000 5.739 3.360
-1.101 14.563 1.198
1.101 14.563 1.198
1.101 5.886 5.261
-1.101 5.886 5.261
0.000 12.276 2.004
0.000 8.172 4.455
0.000 6.296 4.596
0.000 14.152 1.863
0.000 0.000 0.000
```

Li4V2P3O12: optimized geometry, PBE with a Hubbard U.

The polymorph energy (0 for the lowest one) comes out at 56 meV/atom. For the formation energy, the calculation gives -2.628 eV/atom.

Geometry as POSCAR:
```
Li4V2P3O12
1.0
7.100 -4.544 0.000
7.100 4.544 0.000
4.193 0.000 7.313
O P V Li
24 6 4 8
Cartesian
7.988 3.765 1.884
8.308 -0.779 1.772
10.624 -1.622 4.184
5.787 -1.904 2.279
7.769 1.622 3.129
6.385 0.970 0.775
13.227 -0.934 3.473
10.405 -3.765 5.429
12.606 1.904 5.034
8.223 0.934 7.130
10.170 -0.934 0.183
9.866 2.922 6.785
7.271 -0.843 4.382
8.528 -2.922 0.528
6.118 -0.843 6.587
7.883 -2.640 5.935
8.481 3.574 4.432
5.166 0.934 3.840
11.122 0.843 2.931
9.912 -3.574 2.881
10.510 2.640 1.378
12.275 0.843 0.726
12.008 -0.970 6.538
10.085 0.779 5.541
8.720 -1.379 0.391
7.577 3.165 3.266
10.816 -3.165 4.047
11.698 1.786 1.828
6.695 -1.786 5.485
9.673 1.379 6.922
6.548 0.000 2.603
11.845 0.000 4.710
15.745 0.000 6.260
2.649 0.000 1.053
9.972 -1.845 6.171
9.197 0.000 3.656
8.421 1.845 1.142
11.698 -0.853 1.828
7.876 -2.698 2.514
0.000 0.000 0.000
10.518 2.698 4.799
6.695 0.853 5.485
```

Li3CoSiO5: optimized geometry, PBE with a Hubbard U.

For the formation energy, the calculation gives -2.387 eV/atom.

Geometry as POSCAR:
```
Li3CoSiO5
1.0
-2.569 3.787 1.894
-4.206 -1.200 -3.305
-5.936 -9.538 11.020
O Li Co Si
20 12 4 4
Cartesian
-2.660 1.166 1.861
-5.611 -0.286 0.944
-5.212 -2.562 5.874
-4.250 -0.878 3.974
-6.748 -5.497 3.182
-2.909 -2.000 1.249
-7.775 -7.085 5.130
-9.293 -9.236 7.189
-4.533 -1.365 -1.245
-4.525 1.320 -0.958
-5.428 -5.806 5.572
-5.578 -3.510 0.647
-8.992 -6.146 7.763
-7.435 -9.379 10.013
-7.756 -6.209 10.543
-4.141 -3.516 3.585
-6.414 -7.677 8.159
-6.525 -2.264 3.478
-6.323 -4.636 8.365
-8.147 -4.059 5.713
-7.791 -0.900 4.167
-8.701 -10.282 8.777
-10.163 -7.759 8.189
-6.198 -4.167 6.385
-2.733 1.448 -0.109
-3.688 -5.006 5.027
-3.849 -0.355 2.030
-7.747 -3.828 3.641
-3.826 2.692 2.363
-4.862 -6.826 7.120
-7.604 -8.451 6.652
-6.591 -1.980 1.562
-8.897 -5.766 5.938
-5.098 0.709 4.618
-6.603 1.070 1.855
-7.393 -6.128 8.702
-6.358 -6.472 4.417
-5.109 -2.315 4.274
-5.410 -0.019 -0.724
-6.057 -8.767 9.415
```